# Rb3Bi2I9

A relaxed structure of Rb3Bi2I9 (PBE-GGA, the Materials Project database).

The structure in POSCAR format:
```
Rb3Bi2I9
1.0
8.4541 0.0000 0.0000
0.0000 15.0914 0.0000
0.0000 14.4871 21.5266
I Bi Rb
36 8 12
Cartesian
1.3675 15.2012 4.9899
2.8022 10.0727 1.5512
0.4611 18.3981 15.3448
0.6023 24.2637 19.3386
0.5152 8.5554 7.9885
4.6351 18.6601 16.5613
7.9931 11.1545 4.5815
0.4277 13.7897 0.7945
8.0264 21.0332 11.5578
2.7397 14.7872 15.9047
4.7304 8.8250 9.4012
1.3292 19.8216 19.3060
4.5173 18.1551 5.1545
8.1189 7.1039 1.3665
5.7145 7.5437 5.1414
3.7237 16.0686 20.1645
3.9369 25.3987 15.9178
7.9390 15.7989 18.7518
5.5576 27.1297 19.5742
7.0866 22.4448 15.7532
4.7299 14.0024 2.0423
3.7792 5.8324 1.5151
5.6519 17.3163 12.3145
7.8518 17.0202 8.5753
7.1249 12.5780 8.5427
0.3352 14.3474 12.1298
1.5019 9.8092 12.2492
6.9522 2.5656 1.4859
3.8190 11.4165 5.7980
0.4131 4.3644 5.0957
8.0411 11.6080 15.8590
2.8965 19.8861 8.8109
4.6749 13.0760 12.2784
3.6436 15.4590 8.7189
3.7242 21.2459 12.8056
4.8105 22.7026 19.4822
6.2890 14.9597 10.5973
2.1825 17.2515 17.5031
2.0363 7.3438 10.6417
6.2716 10.0079 6.7398
6.4178 14.5873 21.4050
2.1651 22.2033 21.3606
6.4138 24.7823 17.4837
2.0403 17.5387 6.7204
1.9630 7.9154 4.5473
2.2497 2.2767 2.0357
1.8784 17.7745 11.7866
6.4911 15.1589 15.3106
6.2044 9.5203 12.7990
1.9197 27.7447 18.8590
6.5757 10.5309 1.0233
2.3848 21.9707 16.3608
6.1399 19.2204 20.0533
6.0693 14.7271 5.5975
6.5344 20.5011 8.0957
2.3142 11.9768 9.2900
```

Output
Offset from the most stable computed form ... 0 meV/atom
Energy relative to the elements ... -1.178 eV per atom
Volume ... 49.0 Å³ per atom
Size of the total moment ... 0.000 μB/atom